(1)
First-principles (PBE) data for an optimized crystal structure of Ca2AlAgO5, as listed in Materials Project.

Structure (CIF):
```
data_Ca2AlAgO5
_cell_length_a 5.417
_cell_length_b 5.670
_cell_length_c 8.669
_cell_angle_alpha 109.06
_cell_angle_beta 105.85
_cell_angle_gamma 90.02
_symmetry_space_group_name_H-M 'P 1'
_symmetry_Int_Tables_number 1
loop_
_symmetry_equiv_pos_as_xyz
'x,y,z'
loop_
_atom_site_label
_atom_site_fract_x
_atom_site_fract_y
_atom_site_fract_z
Ca1 0.000 0.000 0.000
Ca2 0.215 0.256 0.514
Ca3 0.500 0.454 0.000
Ca4 0.716 0.712 0.514
Al1 0.108 0.670 0.255
Al2 0.608 0.040 0.255
Ag1 0.347 0.853 0.755
Ag2 0.847 0.355 0.755
O1 0.030 0.041 0.685
O2 0.114 0.603 0.441
O3 0.174 0.592 0.821
O4 0.431 0.762 0.255
O5 0.446 0.108 0.072
O6 0.530 0.096 0.685
O7 0.614 0.291 0.441
O8 0.674 0.682 0.823
O9 0.931 0.946 0.255
O10 0.946 0.418 0.072
```

Computed properties:
DFT total energy ... -0.4447 Ry per atom
ΔH_f (0 K) ... -2.5066 eV per atom
Crystal system ... triclinic

(2)
First-principles (PBE) data for an optimized crystal structure of Ca2AlAgO5, as listed in Materials Project.

Structure (CIF):
```
data_Ca2AlAgO5
_cell_length_a 14.915
_cell_length_b 5.846
_cell_length_c 5.476
_cell_angle_alpha 90.00
_cell_angle_beta 90.00
_cell_angle_gamma 90.00
_symmetry_space_group_name_H-M 'I m a 2'
_symmetry_Int_Tables_number 46
loop_
_symmetry_equiv_pos_as_xyz
'x,y,z'
'-x,-y,z'
'-x+1/2,y,z'
'x+1/2,-y,z'
'x+1/2,y+1/2,z+1/2'
'-x+1/2,-y+1/2,z+1/2'
'-x,y+1/2,z+1/2'
'x,-y+1/2,z+1/2'
loop_
_atom_site_label
_atom_site_fract_x
_atom_site_fract_y
_atom_site_fract_z
Ca1 0.115 0.032 0.000
Al1 0.250 0.576 0.012
Ag1 0.000 0.000 0.485
O1 0.030 0.741 0.242
O2 0.156 0.091 0.428
O3 0.250 0.655 0.338
```

Computed properties:
DFT total energy ... -0.4442 Ry per atom
ΔH_f (0 K) ... -2.4999 eV per atom
Crystal system ... orthorhombic

Total magnetization for every record listed, in sequence, given in μB/cell: 0.0 0.0.